Model w:
## CaVFeP4O14 (PBE with a Hubbard U)

Data for an optimized crystal structure of CaVFeP4O14.

Structure (CIF):
```
data_CaVFeP4O14
_cell_length_a 4.995
_cell_length_b 7.094
_cell_length_c 8.353
_cell_angle_alpha 89.99
_cell_angle_beta 89.77
_cell_angle_gamma 73.57
_space_group_name_H-M_alt 'P 1'
_space_group_IT_number 1
_space_group_name_Hall 'P 1'
loop_
_atom_site_label
_atom_site_type_symbol
_atom_site_fract_x
_atom_site_fract_y
_atom_site_fract_z
Ca1 Ca 0.000 0.000 0.000
V1 V 0.112 0.549 0.122
Fe1 Fe 0.529 0.111 0.606
P1 P 0.080 0.942 0.386
P2 P 0.570 0.729 0.879
P3 P 0.698 0.340 0.307
P4 P 0.942 0.345 0.791
O1 O 0.043 0.334 0.967
O2 O 0.158 0.780 0.260
O3 O 0.174 0.313 0.669
O4 O 0.316 0.677 0.949
O5 O 0.334 0.001 0.442
O6 O 0.465 0.923 0.789
O7 O 0.470 0.361 0.179
O8 O 0.600 0.329 0.477
O9 O 0.735 0.562 0.757
O10 O 0.770 0.194 0.784
O11 O 0.778 0.750 0.011
O12 O 0.872 0.484 0.286
O13 O 0.883 0.923 0.520
O14 O 0.906 0.122 0.263
```

***

Model x:
## CaVFeP4O14 (PBE with a Hubbard U)

Data for an optimized crystal structure of CaVFeP4O14.

Structure (CIF):
```
data_CaVFeP4O14
_cell_length_a 4.917
_cell_length_b 7.193
_cell_length_c 8.114
_cell_angle_alpha 89.29
_cell_angle_beta 88.92
_cell_angle_gamma 73.50
_space_group_name_H-M_alt 'P 1'
_space_group_IT_number 1
_space_group_name_Hall 'P 1'
loop_
_atom_site_label
_atom_site_type_symbol
_atom_site_fract_x
_atom_site_fract_y
_atom_site_fract_z
Ca1 Ca 0.000 0.000 0.000
V1 V 0.570 0.478 0.068
Fe1 Fe 0.010 0.007 0.557
P1 P 0.031 0.620 0.826
P2 P 0.180 0.254 0.268
P3 P 0.413 0.232 0.759
P4 P 0.566 0.859 0.326
O1 O 0.072 0.238 0.442
O2 O 0.196 0.654 0.980
O3 O 0.202 0.109 0.769
O4 O 0.240 0.455 0.716
O5 O 0.362 0.034 0.209
O6 O 0.371 0.386 0.254
O7 O 0.390 0.845 0.480
O8 O 0.547 0.234 0.930
O9 O 0.632 0.691 0.208
O10 O 0.633 0.174 0.623
O11 O 0.770 0.557 0.872
O12 O 0.834 0.922 0.356
O13 O 0.948 0.290 0.137
O14 O 0.956 0.811 0.729
```

***

Energy ordering: model x at the bottom, the next structure 10 meV/atom above.

***

Model w:
## CaFe3Si2O9 (PBE with a Hubbard U)

Data for an optimized crystal structure of CaFe3Si2O9.

Structure (CIF):
```
data_CaFe3Si2O9
_cell_length_a 17.873
_cell_length_b 6.603
_cell_length_c 8.397
_cell_angle_alpha 90.00
_cell_angle_beta 90.00
_cell_angle_gamma 90.00
_space_group_name_H-M_alt 'P n m a'
_space_group_IT_number 62
_space_group_name_Hall '-P 2ac 2n'
loop_
_atom_site_label
_atom_site_type_symbol
_atom_site_fract_x
_atom_site_fract_y
_atom_site_fract_z
Ca1 Ca 0.056 0.250 0.013
Fe1 Fe 0.124 0.051 0.363
Fe2 Fe 0.230 0.750 0.574
Si1 Si 0.084 0.750 0.177
Si2 Si 0.223 0.750 0.938
O1 O 0.037 0.545 0.146
O2 O 0.071 0.250 0.469
O3 O 0.110 0.750 0.370
O4 O 0.156 0.250 0.196
O5 O 0.166 0.750 0.090
O6 O 0.176 0.750 0.774
O7 O 0.225 0.040 0.460
```

***

Model x:
## CaFe3Si2O9 (PBE with a Hubbard U)

Data for an optimized crystal structure of CaFe3Si2O9.

Structure (CIF):
```
data_CaFe3Si2O9
_cell_length_a 13.170
_cell_length_b 5.931
_cell_length_c 8.853
_cell_angle_alpha 90.00
_cell_angle_beta 90.00
_cell_angle_gamma 90.00
_space_group_name_H-M_alt 'P n m a'
_space_group_IT_number 62
_space_group_name_Hall '-P 2ac 2n'
loop_
_atom_site_label
_atom_site_type_symbol
_atom_site_fract_x
_atom_site_fract_y
_atom_site_fract_z
Ca1 Ca 0.183 0.250 0.128
Fe1 Fe 0.067 0.750 0.762
Fe2 Fe 0.112 0.004 0.444
Si1 Si 0.034 0.750 0.133
Si2 Si 0.185 0.250 0.766
O1 O 0.015 0.750 0.525
O2 O 0.058 0.518 0.231
O3 O 0.092 0.250 0.893
O4 O 0.092 0.750 0.977
O5 O 0.174 0.018 0.664
O6 O 0.192 0.250 0.384
O7 O 0.216 0.750 0.386
```

***

Energy ordering: model x at the bottom, the next structure 208 meV/atom above.